# 1
# MgNb2In2O8, optimized geometry, DFT PBE
# * energy above the most stable polymorph in this dataset: 23 meV per atom
# * energy relative to the elements: -2.436 eV/atom
# * volume: 13.937 A^3/atom
data_MgNb2In2O8
_cell_length_a 5.286
_cell_length_b 6.419
_cell_length_c 5.347
_cell_angle_alpha 90.00
_cell_angle_beta 92.99
_cell_angle_gamma 90.00
_space_group_name_H-M_alt 'P 1 2 1'
_space_group_IT_number 3
loop_
_space_group_symop_operation_xyz
'x,y,z'
'-x,y,-z'
loop_
_atom_site_label
_atom_site_fract_x
_atom_site_fract_y
_atom_site_fract_z
Mg1 0.000 0.000 0.000
Nb1 0.000 0.886 0.500
Nb2 0.500 0.255 0.500
In1 0.000 0.432 0.000
In2 0.500 0.718 0.000
O1 0.157 0.729 0.238
O2 0.192 0.136 0.333
O3 0.286 0.942 0.764
O4 0.400 0.443 0.741

=====

# 2
# MgNb2In2O8, optimized geometry, DFT PBE
# * energy above the most stable polymorph in this dataset: 1 meV per atom
# * energy relative to the elements: -2.458 eV/atom
# * volume: 14.271 A^3/atom
data_MgNb2In2O8
_cell_length_a 5.328
_cell_length_b 6.273
_cell_length_c 5.553
_cell_angle_alpha 90.00
_cell_angle_beta 91.70
_cell_angle_gamma 90.00
_space_group_name_H-M_alt 'P 1 2 1'
_space_group_IT_number 3
loop_
_space_group_symop_operation_xyz
'x,y,z'
'-x,y,-z'
loop_
_atom_site_label
_atom_site_fract_x
_atom_site_fract_y
_atom_site_fract_z
Mg1 0.000 0.000 0.000
Nb1 0.000 0.543 0.000
Nb2 0.500 0.222 0.000
In1 0.000 0.063 0.500
In2 0.500 0.682 0.500
O1 0.104 0.754 0.228
O2 0.181 0.234 0.212
O3 0.306 0.037 0.776
O4 0.312 0.469 0.839

=====

# 3
# MgNb2In2O8, optimized geometry, DFT PBE
# * energy above the most stable polymorph in this dataset: 0 meV per atom
# * energy relative to the elements: -2.459 eV/atom
# * volume: 14.723 A^3/atom
data_MgNb2In2O8
_cell_length_a 5.336
_cell_length_b 5.388
_cell_length_c 6.754
_cell_angle_alpha 89.35
_cell_angle_beta 86.40
_cell_angle_gamma 80.96
_space_group_name_H-M_alt 'P 1'
_space_group_IT_number 1
loop_
_space_group_symop_operation_xyz
'x,y,z'
loop_
_atom_site_label
_atom_site_fract_x
_atom_site_fract_y
_atom_site_fract_z
Mg1 0.000 0.000 0.000
Nb1 0.310 0.750 0.531
Nb2 0.361 0.231 0.239
In1 0.745 0.592 0.035
In2 0.793 0.275 0.566
O1 0.046 0.962 0.696
O2 0.115 0.454 0.463
O3 0.128 0.324 0.044
O4 0.202 0.910 0.256
O5 0.521 0.564 0.716
O6 0.534 0.018 0.482
O7 0.569 0.495 0.337
O8 0.643 0.174 0.048

=====

# 4
# NdMgIn, optimized geometry, DFT PBE
# * energy relative to the elements: -0.411 eV/atom
# * volume: 27.482 A^3/atom
data_NdMgIn
_cell_length_a 7.7556
_cell_length_b 7.7556
_cell_length_c 4.7482
_cell_angle_alpha 90.00
_cell_angle_beta 90.00
_cell_angle_gamma 120.00
_space_group_name_H-M_alt 'P -6 2 m'
_space_group_IT_number 189
_space_group_name_Hall 'P -6 -2'
loop_
_atom_site_label
_atom_site_fract_x
_atom_site_fract_y
_atom_site_fract_z
Nd1 0.0000 0.5726 0.0000
Mg1 0.0000 0.2420 0.5000
In1 0.0000 0.0000 0.0000
In2 0.3333 0.6667 0.5000

=====

Repeat the fourth record exactly.
# NdMgIn, optimized geometry, DFT PBE
# * energy relative to the elements: -0.411 eV/atom
# * volume: 27.482 A^3/atom
data_NdMgIn
_cell_length_a 7.7556
_cell_length_b 7.7556
_cell_length_c 4.7482
_cell_angle_alpha 90.00
_cell_angle_beta 90.00
_cell_angle_gamma 120.00
_space_group_name_H-M_alt 'P -6 2 m'
_space_group_IT_number 189
_space_group_name_Hall 'P -6 -2'
loop_
_atom_site_label
_atom_site_fract_x
_atom_site_fract_y
_atom_site_fract_z
Nd1 0.0000 0.5726 0.0000
Mg1 0.0000 0.2420 0.5000
In1 0.0000 0.0000 0.0000
In2 0.3333 0.6667 0.5000